(a)
# LiCuCO3 | the Materials Project database | PBE-GGA | optimized geometry
data_LiCuCO3
_chemical_formula_sum 'Li3 Cu3 C3 O9'
_cell_length_a 8.2970
_cell_length_b 8.2970
_cell_length_c 3.0543
_cell_angle_alpha 90.00
_cell_angle_beta 90.00
_cell_angle_gamma 120.00
_space_group_name_H-M_alt 'P -6'
_space_group_IT_number 174
loop_
_space_group_symop_operation_xyz
'x,y,z'
'-x+y,-x,-z'
'-y,x-y,z'
'x,y,-z'
'-x+y,-x,z'
'-y,x-y,-z'
loop_
_atom_site_label
_atom_site_type_symbol
_atom_site_fract_x
_atom_site_fract_y
_atom_site_fract_z
_atom_site_occupancy
Li1 Li 0.0347 0.6959 0.0000 1
Cu1 Cu 0.3541 0.0217 0.5000 1
C1 C 0.0000 0.0000 0.5000 1
C2 C 0.3333 0.6667 0.5000 1
C3 C 0.6667 0.3333 0.0000 1
O1 O 0.0701 0.8911 0.5000 1
O2 O 0.1562 0.6112 0.5000 1
O3 O 0.4851 0.2427 0.0000 1
# total moment = 0.0 μB/cell
# crystal system = hexagonal


(b)
# LiCuCO3 | the Materials Project database | PBE-GGA | optimized geometry
data_LiCuCO3
_chemical_formula_sum 'Li3 Cu3 C3 O9'
_cell_length_a 8.1943
_cell_length_b 8.1943
_cell_length_c 3.1587
_cell_angle_alpha 90.00
_cell_angle_beta 90.00
_cell_angle_gamma 120.00
_space_group_name_H-M_alt 'P -6'
_space_group_IT_number 174
loop_
_space_group_symop_operation_xyz
'x,y,z'
'-x+y,-x,-z'
'-y,x-y,z'
'x,y,-z'
'-x+y,-x,z'
'-y,x-y,-z'
loop_
_atom_site_label
_atom_site_type_symbol
_atom_site_fract_x
_atom_site_fract_y
_atom_site_fract_z
_atom_site_occupancy
Li1 Li 0.0406 0.3695 0.0000 1
Cu1 Cu 0.3352 0.3023 0.5000 1
C1 C 0.0000 0.0000 0.0000 1
C2 C 0.3333 0.6667 0.5000 1
C3 C 0.6667 0.3333 0.0000 1
O1 O 0.1835 0.0864 0.0000 1
O2 O 0.2176 0.4854 0.5000 1
O3 O 0.5566 0.4059 0.0000 1
# total moment = 0.0 μB/cell
# crystal system = hexagonal


Least stable of them? (b).


(a)
# Si | the Materials Project database | PBE-GGA | optimized geometry
data_Si
_chemical_formula_sum 'Si6'
_cell_length_a 5.0924
_cell_length_b 5.0924
_cell_length_c 4.4191
_cell_angle_alpha 90.00
_cell_angle_beta 90.00
_cell_angle_gamma 120.00
_space_group_name_H-M_alt 'P 63/m m c'
_space_group_IT_number 194
_space_group_name_Hall '-P 6c 2c'
loop_
_atom_site_label
_atom_site_type_symbol
_atom_site_fract_x
_atom_site_fract_y
_atom_site_fract_z
_atom_site_occupancy
Si1 Si 0.1650 0.3300 0.2500 1
# total moment = 0.0 μB/cell
# crystal system = hexagonal


(b)
# Si | the Materials Project database | PBE-GGA | optimized geometry
data_Si
_chemical_formula_sum 'Si2'
_cell_length_a 3.353
_cell_length_b 3.353
_cell_length_c 2.575
_cell_angle_alpha 90.00
_cell_angle_beta 90.00
_cell_angle_gamma 90.00
_space_group_name_H-M_alt 'I 4/m m m'
_space_group_IT_number 139
_space_group_name_Hall '-I 4 2'
loop_
_atom_site_label
_atom_site_type_symbol
_atom_site_fract_x
_atom_site_fract_y
_atom_site_fract_z
_atom_site_occupancy
Si1 Si 0.000 0.000 0.000 1
# total moment = 0.0 μB/cell
# crystal system = tetragonal


Least stable of them? (b).


(a)
# Si | the Materials Project database | PBE-GGA | optimized geometry
data_Si
_chemical_formula_sum 'Si100'
_cell_length_a 12.409
_cell_length_b 12.610
_cell_length_c 12.681
_cell_angle_alpha 79.42
_cell_angle_beta 81.04
_cell_angle_gamma 82.23
_space_group_name_H-M_alt 'P 1'
_space_group_IT_number 1
loop_
_space_group_symop_operation_xyz
'x,y,z'
loop_
_atom_site_label
_atom_site_type_symbol
_atom_site_fract_x
_atom_site_fract_y
_atom_site_fract_z
_atom_site_occupancy
Si1 Si 0.000 0.000 0.000 1
Si2 Si 0.000 0.533 0.087 1
Si3 Si 0.008 0.295 0.360 1
Si4 Si 0.010 0.637 0.817 1
Si5 Si 0.020 0.956 0.825 1
Si6 Si 0.031 0.294 0.637 1
Si7 Si 0.035 0.058 0.499 1
Si8 Si 0.043 0.483 0.578 1
Si9 Si 0.044 0.206 0.131 1
Si10 Si 0.075 0.112 0.309 1
Si11 Si 0.092 0.152 0.959 1
Si12 Si 0.096 0.842 0.087 1
Si13 Si 0.124 0.651 0.351 1
Si14 Si 0.143 0.832 0.261 1
Si15 Si 0.152 0.688 0.526 1
Si16 Si 0.154 0.150 0.574 1
Si17 Si 0.186 0.478 0.016 1
Si18 Si 0.189 0.347 0.309 1
Si19 Si 0.189 0.861 0.572 1
Si20 Si 0.189 0.984 0.702 1
Si21 Si 0.194 0.302 0.131 1
Si22 Si 0.199 0.571 0.826 1
Si23 Si 0.214 0.504 0.642 1
Si24 Si 0.256 0.516 0.286 1
Si25 Si 0.268 0.055 0.970 1
Si26 Si 0.269 0.078 0.311 1
Si27 Si 0.269 0.851 0.975 1
Si28 Si 0.285 0.207 0.418 1
Si29 Si 0.302 0.722 0.847 1
Si30 Si 0.313 0.550 0.098 1
Si31 Si 0.326 0.136 0.120 1
Si32 Si 0.333 0.942 0.452 1
Si33 Si 0.342 0.827 0.230 1
Si34 Si 0.345 0.603 0.488 1
Si35 Si 0.347 0.781 0.663 1
Si36 Si 0.348 0.341 0.632 1
Si37 Si 0.382 0.721 0.091 1
Si38 Si 0.392 0.974 0.619 1
Si39 Si 0.405 0.775 0.399 1
Si40 Si 0.416 0.123 0.852 1
Si41 Si 0.432 0.149 0.658 1
Si42 Si 0.433 0.297 0.897 1
Si43 Si 0.434 0.532 0.329 1
Si44 Si 0.436 0.345 0.280 1
Si45 Si 0.443 0.604 0.632 1
Si46 Si 0.444 0.425 0.735 1
Si47 Si 0.454 0.972 0.140 1
Si48 Si 0.468 0.381 0.471 1
Si49 Si 0.474 0.197 0.442 1
Si50 Si 0.478 0.434 0.063 1
Si51 Si 0.481 0.242 0.088 1
Si52 Si 0.499 0.694 0.837 1
Si53 Si 0.541 0.993 0.948 1
Si54 Si 0.574 0.003 0.255 1
Si55 Si 0.581 0.696 0.075 1
Si56 Si 0.582 0.517 0.893 1
Si57 Si 0.585 0.187 0.267 1
Si58 Si 0.590 0.817 0.911 1
Si59 Si 0.591 0.921 0.597 1
Si60 Si 0.597 0.742 0.386 1
Si61 Si 0.609 0.732 0.667 1
Si62 Si 0.612 0.313 0.749 1
Si63 Si 0.624 0.148 0.676 1
Si64 Si 0.627 0.615 0.539 1
Si65 Si 0.628 0.239 0.940 1
Si66 Si 0.645 0.399 0.154 1
Si67 Si 0.647 0.908 0.413 1
Si68 Si 0.653 0.409 0.473 1
Si69 Si 0.669 0.670 0.230 1
Si70 Si 0.699 0.548 0.011 1
Si71 Si 0.710 0.072 0.894 1
Si72 Si 0.714 0.480 0.286 1
Si73 Si 0.729 0.222 0.505 1
Si74 Si 0.730 0.452 0.763 1
Si75 Si 0.758 0.953 0.185 1
Si76 Si 0.762 0.171 0.331 1
Si77 Si 0.765 0.275 0.045 1
Si78 Si 0.770 0.812 0.817 1
Si79 Si 0.771 0.647 0.750 1
Si80 Si 0.772 0.920 0.642 1
Si81 Si 0.781 0.480 0.566 1
Si82 Si 0.814 0.754 0.563 1
Si83 Si 0.815 0.076 0.036 1
Si84 Si 0.817 0.984 0.342 1
Si85 Si 0.822 0.766 0.205 1
Si86 Si 0.857 0.372 0.887 1
Si87 Si 0.858 0.083 0.597 1
Si88 Si 0.870 0.288 0.196 1
Si89 Si 0.879 0.094 0.777 1
Si90 Si 0.887 0.728 0.382 1
Si91 Si 0.889 0.304 0.528 1
Si92 Si 0.896 0.526 0.946 1
Si93 Si 0.912 0.452 0.259 1
Si94 Si 0.940 0.794 0.887 1
Si95 Si 0.967 0.545 0.404 1
Si96 Si 0.969 0.725 0.071 1
Si97 Si 0.973 0.651 0.639 1
Si98 Si 0.976 0.232 0.821 1
Si99 Si 0.984 0.882 0.383 1
Si100 Si 0.989 0.870 0.573 1
# total moment = 0.0 μB/cell
# crystal system = triclinic


(b)
# Si | the Materials Project database | PBE-GGA | optimized geometry
data_Si
_chemical_formula_sum 'Si16'
_cell_length_a 13.888
_cell_length_b 3.872
_cell_length_c 6.361
_cell_angle_alpha 90.00
_cell_angle_beta 96.81
_cell_angle_gamma 90.00
_space_group_name_H-M_alt 'C 1 2/m 1'
_space_group_IT_number 12
loop_
_space_group_symop_operation_xyz
'x,y,z'
'-x,-y,-z'
'-x,y,-z'
'x,-y,z'
'x+1/2,y+1/2,z'
'-x+1/2,-y+1/2,-z'
'-x+1/2,y+1/2,-z'
'x+1/2,-y+1/2,z'
loop_
_atom_site_label
_atom_site_type_symbol
_atom_site_fract_x
_atom_site_fract_y
_atom_site_fract_z
_atom_site_occupancy
Si1 Si 0.056 0.000 0.374 1
Si2 Si 0.059 0.500 0.154 1
Si3 Si 0.213 0.000 0.557 1
Si4 Si 0.227 0.500 0.086 1
# crystal system = monoclinic


Least stable of them? (a).


(a)
# TlN | the Materials Project database | PBE-GGA | optimized geometry
data_TlN
_chemical_formula_sum 'Tl2 N2'
_cell_length_a 3.7294
_cell_length_b 3.7294
_cell_length_c 6.0858
_cell_angle_alpha 90.00
_cell_angle_beta 90.00
_cell_angle_gamma 120.00
_space_group_name_H-M_alt 'P 63 m c'
_space_group_IT_number 186
_space_group_name_Hall 'P 6c -2c'
loop_
_atom_site_label
_atom_site_type_symbol
_atom_site_fract_x
_atom_site_fract_y
_atom_site_fract_z
_atom_site_occupancy
Tl1 Tl 0.3333 0.6667 0.0000 1
N1 N 0.3333 0.6667 0.6244 1
# total moment = 0.0 μB/cell
# crystal system = hexagonal


(b)
# TlN | the Materials Project database | PBE-GGA | optimized geometry
data_TlN
_chemical_formula_sum 'Tl1 N1'
_cell_length_a 3.160
_cell_length_b 3.160
_cell_length_c 3.160
_cell_angle_alpha 90.00
_cell_angle_beta 90.00
_cell_angle_gamma 90.00
_space_group_name_H-M_alt 'P m -3 m'
_space_group_IT_number 221
_space_group_name_Hall '-P 4 2 3'
loop_
_atom_site_label
_atom_site_type_symbol
_atom_site_fract_x
_atom_site_fract_y
_atom_site_fract_z
_atom_site_occupancy
Tl1 Tl 0.000 0.000 0.000 1
N1 N 0.500 0.500 0.500 1
# total moment = 0.7 μB/cell
# crystal system = cubic


Least stable of them? (b).